First-principles (GGA+U) data for a relaxed structure of Cr4PN3O16, as listed in the Materials Project.

Lattice parameters (Å, degrees): 7.883 7.883 7.883 102.22 102.22 102.22
Fractional coordinates of all 24 atoms:
Cr (0.373, 0.754, 0.373)
Cr (0.373, 0.373, 0.754)
Cr (0.754, 0.373, 0.373)
Cr (0.999, 0.999, 0.999)
P (0.322, 0.322, 0.322)
N (0.950, 0.499, 0.950)
N (0.950, 0.950, 0.499)
N (0.499, 0.950, 0.950)
O (0.300, 0.507, 0.300)
O (0.300, 0.300, 0.507)
O (0.507, 0.300, 0.300)
O (0.578, 0.830, 0.361)
O (0.361, 0.578, 0.830)
O (0.830, 0.361, 0.578)
O (0.361, 0.830, 0.578)
O (0.578, 0.361, 0.830)
O (0.830, 0.578, 0.361)
O (0.240, 0.831, 0.240)
O (0.240, 0.240, 0.831)
O (0.831, 0.240, 0.240)
O (0.176, 0.176, 0.176)
O (0.870, 0.085, 0.870)
O (0.870, 0.870, 0.085)
O (0.085, 0.870, 0.870)

Properties
total DFT energy (no corrections)	-5.997	eV per atom

=====

First-principles (GGA+U) data for a relaxed structure of La3YFe4As4O4, as listed in the Materials Project.

Lattice parameters (Å, degrees): 4.091 8.190 9.279 90.00 90.00 90.00
Fractional coordinates of all 16 atoms:
La (0.000, 0.500, 0.132)
La (0.500, 0.752, 0.872)
La (0.500, 0.248, 0.872)
Y (0.000, 0.000, 0.117)
Fe (0.000, 0.751, 0.499)
Fe (0.000, 0.249, 0.499)
Fe (0.500, 0.000, 0.499)
Fe (0.500, 0.500, 0.498)
As (0.000, 0.000, 0.676)
As (0.000, 0.500, 0.675)
As (0.500, 0.752, 0.323)
As (0.500, 0.248, 0.323)
O (0.000, 0.756, 0.004)
O (0.000, 0.244, 0.004)
O (0.500, 0.000, 0.008)
O (0.500, 0.500, 0.000)

Properties
excess energy over the best structure of this formula in the dataset	0.000	eV/atom
total DFT energy (no corrections)	-6.832	eV per atom

=====

First-principles (GGA+U) data for a relaxed structure of LiMn2O3F, as listed in the Materials Project.

Lattice parameters (Å, degrees): 6.162 10.174 6.169 89.99 59.96 106.48
Fractional coordinates of all 28 atoms:
Li (0.105, 0.159, 0.940)
Li (0.104, 0.659, 0.457)
Li (0.896, 0.841, 0.044)
Li (0.896, 0.341, 0.560)
Mn (0.502, 0.251, 0.251)
Mn (0.498, 0.749, 0.753)
Mn (0.503, 0.501, 0.509)
Mn (0.496, 0.499, 0.013)
Mn (0.000, 0.500, 0.016)
Mn (0.498, 0.000, 0.991)
Mn (0.503, 0.000, 0.488)
Mn (0.000, 0.000, 0.483)
O (0.751, 0.400, 0.361)
O (0.742, 0.892, 0.833)
O (0.741, 0.392, 0.924)
O (0.751, 0.900, 0.389)
O (0.310, 0.389, 0.356)
O (0.311, 0.888, 0.834)
O (0.689, 0.611, 0.666)
O (0.690, 0.112, 0.144)
O (0.258, 0.608, 0.666)
O (0.250, 0.100, 0.139)
O (0.249, 0.600, 0.111)
O (0.259, 0.109, 0.574)
F (0.754, 0.642, 0.128)
F (0.754, 0.143, 0.617)
F (0.245, 0.358, 0.883)
F (0.246, 0.857, 0.371)

Properties
excess energy over the best structure of this formula in the dataset	0.007	eV/atom
total DFT energy (no corrections)	-6.758	eV per atom

=====

First-principles (GGA+U) data for a relaxed structure of MnCd4O5, as listed in the Materials Project.

Lattice parameters (Å, degrees): 6.678 7.489 11.103 78.24 90.00 77.12
Fractional coordinates of all 40 atoms:
Mn (0.100, 0.600, 0.600)
Mn (0.000, 0.000, 0.000)
Mn (0.600, 0.600, 0.600)
Mn (0.500, 0.000, 0.000)
Cd (0.800, 0.800, 0.800)
Cd (0.300, 0.800, 0.800)
Cd (0.050, 0.800, 0.300)
Cd (0.550, 0.800, 0.300)
Cd (0.149, 0.403, 0.896)
Cd (0.649, 0.403, 0.896)
Cd (0.951, 0.197, 0.704)
Cd (0.451, 0.197, 0.704)
Cd (0.850, 0.600, 0.099)
Cd (0.350, 0.600, 0.099)
Cd (0.250, 0.000, 0.501)
Cd (0.750, 0.000, 0.501)
Cd (0.900, 0.400, 0.403)
Cd (0.400, 0.400, 0.403)
Cd (0.200, 0.200, 0.197)
Cd (0.700, 0.200, 0.197)
O (0.027, 0.892, 0.649)
O (0.527, 0.892, 0.649)
O (0.073, 0.708, 0.951)
O (0.573, 0.708, 0.951)
O (0.873, 0.507, 0.740)
O (0.373, 0.507, 0.740)
O (0.227, 0.093, 0.860)
O (0.727, 0.093, 0.860)
O (0.773, 0.906, 0.141)
O (0.273, 0.906, 0.141)
O (0.827, 0.694, 0.459)
O (0.327, 0.694, 0.459)
O (0.125, 0.501, 0.250)
O (0.625, 0.501, 0.250)
O (0.975, 0.099, 0.350)
O (0.475, 0.099, 0.350)
O (0.173, 0.307, 0.555)
O (0.673, 0.307, 0.555)
O (0.927, 0.293, 0.045)
O (0.427, 0.293, 0.045)

Properties
excess energy over the best structure of this formula in the dataset	0.004	eV/atom
total DFT energy (no corrections)	-4.724	eV per atom

=====

First-principles (GGA+U) data for a relaxed structure of BaYCo2O5, as listed in the Materials Project.

Lattice parameters (Å, degrees): 3.948 7.584 7.858 90.00 90.00 90.00
Fractional coordinates of all 18 atoms:
Ba (0.000, 0.000, 0.500)
Ba (0.000, 0.000, 0.000)
Y (0.000, 0.500, 0.500)
Y (0.000, 0.500, 0.000)
Co (0.500, 0.728, 0.750)
Co (0.500, 0.272, 0.250)
Co (0.500, 0.751, 0.250)
Co (0.500, 0.249, 0.750)
O (0.000, 0.689, 0.750)
O (0.500, 0.687, 0.497)
O (0.000, 0.685, 0.250)
O (0.500, 0.009, 0.750)
O (0.000, 0.315, 0.750)
O (0.000, 0.311, 0.250)
O (0.500, 0.313, 0.997)
O (0.500, 0.313, 0.503)
O (0.500, 0.687, 0.003)
O (0.500, 0.991, 0.250)

Properties
excess energy over the best structure of this formula in the dataset	0.000	eV/atom
total DFT energy (no corrections)	-6.886	eV per atom

=====

First-principles (GGA+U) data for a relaxed structure of Li3Mn2P3O12, as listed in the Materials Project.

Lattice parameters (Å, degrees): 9.156 9.156 16.562 64.61 64.61 56.34
Fractional coordinates of all 80 atoms:
Li (0.498, 0.740, 0.842)
Li (0.063, 0.234, 0.428)
Li (0.639, 0.361, 0.750)
Li (0.766, 0.937, 0.072)
Li (0.260, 0.502, 0.658)
Li (0.000, 0.500, 0.000)
Li (0.740, 0.498, 0.342)
Li (0.234, 0.063, 0.928)
Li (0.361, 0.639, 0.250)
Li (0.937, 0.766, 0.572)
Li (0.502, 0.260, 0.158)
Li (0.500, 0.000, 0.500)
Mn (0.214, 0.710, 0.031)
Mn (0.861, 0.794, 0.335)
Mn (0.206, 0.139, 0.165)
Mn (0.290, 0.786, 0.469)
Mn (0.710, 0.214, 0.531)
Mn (0.794, 0.861, 0.835)
Mn (0.139, 0.206, 0.665)
Mn (0.786, 0.290, 0.969)
P (0.021, 0.976, 0.868)
P (0.050, 0.543, 0.194)
P (0.662, 0.593, 0.527)
P (0.407, 0.338, 0.973)
P (0.457, 0.950, 0.306)
P (0.024, 0.979, 0.632)
P (0.976, 0.021, 0.368)
P (0.543, 0.050, 0.694)
P (0.593, 0.662, 0.027)
P (0.338, 0.407, 0.473)
P (0.950, 0.457, 0.806)
P (0.979, 0.024, 0.132)
O (0.588, 0.929, 0.790)
O (0.714, 0.977, 0.611)
O (0.822, 0.990, 0.372)
O (0.137, 0.939, 0.051)
O (0.458, 0.695, 0.979)
O (0.011, 0.865, 0.220)
O (0.208, 0.894, 0.884)
O (0.250, 0.501, 0.173)
O (0.801, 0.673, 0.467)
O (0.608, 0.975, 0.307)
O (0.675, 0.510, 0.626)
O (0.929, 0.588, 0.290)
O (0.242, 0.529, 0.982)
O (0.977, 0.714, 0.111)
O (0.471, 0.758, 0.518)
O (0.990, 0.822, 0.872)
O (0.490, 0.325, 0.874)
O (0.939, 0.137, 0.551)
O (0.025, 0.392, 0.193)
O (0.695, 0.458, 0.479)
O (0.865, 0.011, 0.720)
O (0.327, 0.199, 0.033)
O (0.106, 0.792, 0.616)
O (0.499, 0.750, 0.327)
O (0.501, 0.250, 0.673)
O (0.894, 0.208, 0.384)
O (0.673, 0.801, 0.967)
O (0.135, 0.989, 0.280)
O (0.305, 0.542, 0.521)
O (0.975, 0.608, 0.807)
O (0.061, 0.863, 0.449)
O (0.510, 0.675, 0.126)
O (0.010, 0.178, 0.128)
O (0.529, 0.242, 0.482)
O (0.023, 0.286, 0.889)
O (0.758, 0.471, 0.018)
O (0.071, 0.412, 0.710)
O (0.325, 0.490, 0.374)
O (0.392, 0.025, 0.693)
O (0.199, 0.327, 0.533)
O (0.750, 0.499, 0.827)
O (0.792, 0.106, 0.116)
O (0.989, 0.135, 0.780)
O (0.542, 0.305, 0.021)
O (0.863, 0.061, 0.949)
O (0.178, 0.010, 0.628)
O (0.286, 0.023, 0.389)
O (0.412, 0.071, 0.210)

Properties
excess energy over the best structure of this formula in the dataset	0.059	eV/atom
total DFT energy (no corrections)	-6.909	eV per atom

=====

- Number 4 is which compound?
  MnCd4O5